(1)
VASP calculation (PBE) on Al11NO17 after structural relaxation.

```
Al11NO17
1.0
-0.280 3.988 3.999
-4.130 -0.452 -3.836
-11.214 -14.623 13.798
Al N O
22 2 34
direct
0.167 0.335 0.606
0.833 0.665 0.394
0.665 0.833 0.606
0.833 0.665 0.106
0.335 0.167 0.394
0.167 0.335 0.894
0.167 0.833 0.606
0.335 0.167 0.106
0.833 0.167 0.394
0.665 0.833 0.894
0.833 0.167 0.106
0.167 0.833 0.894
0.333 0.667 0.175
0.667 0.333 0.825
0.667 0.333 0.675
0.333 0.667 0.325
0.333 0.667 0.025
0.667 0.333 0.975
0.667 0.333 0.525
0.333 0.667 0.475
0.000 0.000 0.000
0.000 0.000 0.500
0.333 0.667 0.750
0.667 0.333 0.250
0.500 0.000 0.144
0.500 0.000 0.856
0.000 0.500 0.144
0.500 0.000 0.644
0.000 0.500 0.856
0.500 0.000 0.356
0.500 0.500 0.144
0.000 0.500 0.644
0.500 0.500 0.856
0.000 0.500 0.356
0.500 0.500 0.644
0.500 0.500 0.356
0.157 0.314 0.049
0.843 0.686 0.951
0.686 0.843 0.049
0.843 0.686 0.549
0.314 0.157 0.951
0.157 0.314 0.451
0.157 0.843 0.049
0.314 0.157 0.549
0.843 0.157 0.951
0.686 0.843 0.451
0.843 0.157 0.549
0.157 0.843 0.451
0.333 0.667 0.555
0.667 0.333 0.445
0.667 0.333 0.055
0.333 0.667 0.945
0.333 0.667 0.250
0.667 0.333 0.750
0.000 0.000 0.140
0.000 0.000 0.860
0.000 0.000 0.640
0.000 0.000 0.360
```

For the total moment, the calculation gives 7.3 Bohr magnetons per cell. Its space group is P6_3/mmc (194).


(2)
VASP calculation (PBE) on Cu3AsS4 after structural relaxation.

```
Cu3AsS4
1.0
-5.245 2.113 2.477
-3.294 -2.183 -5.113
-1.007 -6.528 3.436
Cu As S
6 2 8
direct
0.997 0.840 0.500
0.493 0.671 0.250
0.493 0.671 0.750
0.993 0.329 0.750
0.497 0.160 0.000
0.993 0.329 0.250
0.499 0.170 0.500
0.999 0.830 0.000
0.622 0.338 0.249
0.122 0.662 0.251
0.122 0.662 0.749
0.622 0.338 0.751
0.625 0.840 0.500
0.125 0.160 0.000
0.629 0.827 0.000
0.129 0.173 0.500
```

Its space group is Pmn2_1 (31).


(3)
VASP calculation (PBE) on Na10Mg6Zr2Si3S9O48 after structural relaxation.

```
Na10Mg6Zr2Si3S9O48
1.0
-5.126 -10.427 13.686
3.793 -3.690 -7.281
20.371 2.352 9.451
Na Mg Zr Si S O
30 18 6 9 27 144
direct
0.318 0.002 0.245
0.189 0.360 0.249
0.498 0.636 0.255
0.310 0.619 0.740
0.817 0.634 0.744
0.002 0.354 0.754
0.182 0.016 0.756
0.690 0.020 0.749
0.163 0.349 0.588
0.829 0.700 0.080
0.482 0.653 0.919
0.351 0.040 0.917
0.854 0.039 0.922
0.660 0.304 0.917
0.980 0.308 0.417
0.159 0.015 0.416
0.354 0.668 0.423
0.850 0.662 0.416
0.994 0.972 0.497
0.504 0.000 0.498
0.009 0.022 0.997
0.501 0.017 0.997
0.328 0.329 0.835
0.835 0.333 0.829
0.335 0.335 0.329
0.829 0.332 0.333
0.163 0.673 0.161
0.678 0.697 0.162
0.175 0.667 0.661
0.665 0.655 0.660
0.001 0.985 0.349
0.503 0.001 0.351
0.005 0.014 0.850
0.504 0.019 0.850
0.332 0.343 0.680
0.831 0.325 0.684
0.331 0.336 0.184
0.831 0.317 0.180
0.330 0.329 0.982
0.839 0.326 0.988
0.341 0.349 0.487
0.829 0.331 0.481
0.164 0.663 0.016
0.663 0.663 0.021
0.168 0.679 0.520
0.664 0.664 0.516
0.670 0.668 0.318
0.165 0.655 0.818
0.997 0.005 0.650
0.501 0.008 0.643
0.000 0.000 0.146
0.498 0.995 0.148
0.160 0.671 0.313
0.661 0.650 0.814
0.150 0.009 0.252
0.355 0.702 0.255
0.152 0.299 0.752
0.650 0.291 0.752
0.853 0.006 0.756
0.330 0.631 0.580
0.828 0.032 0.080
0.515 0.366 0.922
0.015 0.665 0.422
0.649 0.003 0.252
0.849 0.697 0.251
0.994 0.286 0.253
0.505 0.297 0.251
0.002 0.711 0.752
0.497 0.708 0.752
0.352 0.002 0.752
0.482 0.344 0.583
0.978 0.334 0.582
0.188 0.039 0.583
0.689 0.035 0.582
0.831 0.625 0.582
0.478 0.622 0.083
0.981 0.621 0.083
0.331 0.037 0.083
0.189 0.343 0.083
0.688 0.332 0.082
0.312 0.665 0.917
0.818 0.666 0.919
0.019 0.374 0.917
0.164 0.954 0.917
0.666 0.962 0.918
0.317 0.968 0.418
0.811 0.958 0.417
0.166 0.369 0.418
0.664 0.371 0.417
0.521 0.667 0.415
0.110 0.043 0.312
0.607 0.024 0.305
0.411 0.793 0.313
0.901 0.781 0.304
0.491 0.188 0.303
0.985 0.189 0.308
0.105 0.163 0.804
0.611 0.179 0.812
0.484 0.785 0.806
0.983 0.784 0.803
0.402 0.020 0.806
0.907 0.026 0.815
0.394 0.968 0.700
0.897 0.958 0.699
0.090 0.209 0.690
0.588 0.192 0.696
0.018 0.820 0.698
0.509 0.818 0.700
0.401 0.838 0.198
0.892 0.806 0.196
0.006 0.201 0.201
0.518 0.218 0.197
0.089 0.985 0.195
0.593 0.978 0.198
0.439 0.355 0.637
0.936 0.346 0.637
0.236 0.123 0.638
0.736 0.112 0.638
0.317 0.516 0.640
0.825 0.528 0.637
0.436 0.523 0.137
0.940 0.524 0.138
0.324 0.121 0.137
0.820 0.127 0.138
0.236 0.361 0.139
0.743 0.356 0.135
0.231 0.316 0.031
0.727 0.312 0.027
0.427 0.547 0.030
0.927 0.545 0.031
0.342 0.140 0.029
0.845 0.132 0.017
0.229 0.144 0.530
0.732 0.146 0.531
0.344 0.549 0.520
0.841 0.541 0.529
0.430 0.316 0.529
0.927 0.311 0.528
0.271 0.696 0.968
0.776 0.693 0.971
0.072 0.465 0.968
0.583 0.465 0.974
0.157 0.848 0.969
0.658 0.855 0.968
0.275 0.853 0.468
0.772 0.846 0.469
0.158 0.458 0.470
0.653 0.454 0.471
0.083 0.703 0.474
0.573 0.680 0.467
0.062 0.633 0.362
0.561 0.653 0.359
0.263 0.886 0.362
0.760 0.877 0.363
0.181 0.477 0.363
0.679 0.483 0.364
0.059 0.468 0.860
0.561 0.492 0.862
0.178 0.877 0.861
0.681 0.887 0.862
0.265 0.647 0.861
0.762 0.641 0.864
0.003 0.833 0.413
0.510 0.822 0.414
0.404 0.988 0.411
0.900 0.982 0.411
0.084 0.202 0.413
0.587 0.199 0.410
0.009 0.198 0.916
0.504 0.174 0.914
0.086 0.970 0.913
0.584 0.966 0.913
0.402 0.819 0.912
0.903 0.818 0.911
0.493 0.187 0.588
0.988 0.173 0.585
0.100 0.028 0.586
0.600 0.017 0.586
0.417 0.826 0.589
0.912 0.800 0.586
0.488 0.801 0.089
0.989 0.798 0.088
0.413 0.023 0.087
0.916 0.003 0.088
0.100 0.185 0.087
0.601 0.175 0.089
0.344 0.156 0.743
0.848 0.178 0.744
0.248 0.320 0.745
0.748 0.329 0.743
0.425 0.535 0.745
0.927 0.536 0.741
0.348 0.518 0.244
0.841 0.526 0.243
0.426 0.311 0.243
0.923 0.319 0.247
0.248 0.168 0.243
0.735 0.155 0.245
0.322 0.511 0.923
0.821 0.504 0.923
0.420 0.351 0.925
0.931 0.355 0.920
0.243 0.128 0.922
0.740 0.141 0.921
0.320 0.136 0.423
0.821 0.131 0.424
0.241 0.339 0.421
0.743 0.356 0.423
0.433 0.510 0.418
0.920 0.490 0.424
0.178 0.494 0.076
0.677 0.485 0.079
0.069 0.646 0.077
0.565 0.645 0.079
0.256 0.862 0.078
0.748 0.831 0.077
0.175 0.865 0.580
0.678 0.862 0.576
0.243 0.647 0.577
0.755 0.648 0.578
0.066 0.482 0.579
0.569 0.496 0.578
0.159 0.833 0.254
0.653 0.840 0.255
0.257 0.676 0.257
0.763 0.682 0.255
0.079 0.456 0.255
0.580 0.475 0.257
0.158 0.487 0.755
0.658 0.485 0.755
0.081 0.697 0.758
0.581 0.707 0.755
0.264 0.847 0.756
0.754 0.837 0.757
```

For the total moment, the calculation gives 0.0 Bohr magnetons per cell. Its space group is P1 (1).


(4)
VASP calculation (PBE) on Ta4Fe4Si7 after structural relaxation.

```
Ta4Fe4Si7
1.0
8.043 0.342 -4.510
-4.906 -3.256 7.105
-4.015 -5.539 -6.192
Ta Fe Si
8 8 14
direct
0.135 0.135 0.271
0.865 0.865 0.729
0.865 0.135 0.000
0.135 0.865 0.000
0.500 0.692 0.192
0.500 0.308 0.808
0.308 0.500 0.808
0.692 0.500 0.192
0.400 0.900 0.800
0.100 0.600 0.200
0.100 0.900 0.500
0.400 0.600 0.500
0.600 0.400 0.500
0.900 0.100 0.500
0.900 0.400 0.800
0.600 0.100 0.200
0.291 0.291 0.582
0.709 0.709 0.418
0.709 0.291 0.000
0.291 0.709 0.000
0.000 0.298 0.298
0.000 0.702 0.702
0.702 0.000 0.702
0.298 0.000 0.298
0.500 0.906 0.406
0.500 0.094 0.594
0.094 0.500 0.594
0.906 0.500 0.406
0.751 0.751 0.000
0.249 0.249 0.000
```

For the total moment, the calculation gives 0.0 Bohr magnetons per cell. Its space group is I4/mmm (139).


(5)
VASP calculation (PBE) on La2C3O17 after structural relaxation.

```
La2C3O17
1.0
8.604 0.000 0.000
0.000 9.811 0.000
0.000 0.000 17.890
La C O
8 12 68
direct
0.250 0.250 0.764
0.750 0.750 0.736
0.750 0.750 0.236
0.250 0.250 0.264
0.250 0.750 0.802
0.750 0.250 0.698
0.750 0.250 0.198
0.250 0.750 0.302
0.250 0.750 0.622
0.750 0.250 0.878
0.750 0.250 0.378
0.250 0.750 0.122
0.452 0.002 0.777
0.048 0.498 0.777
0.952 0.998 0.723
0.548 0.502 0.723
0.548 0.998 0.223
0.952 0.502 0.223
0.048 0.002 0.277
0.452 0.498 0.277
0.266 0.102 0.573
0.234 0.398 0.573
0.766 0.898 0.927
0.734 0.602 0.927
0.734 0.898 0.427
0.766 0.602 0.427
0.234 0.102 0.073
0.266 0.398 0.073
0.173 0.239 0.891
0.327 0.261 0.891
0.673 0.761 0.609
0.827 0.739 0.609
0.827 0.761 0.109
0.673 0.739 0.109
0.327 0.239 0.391
0.173 0.261 0.391
0.144 0.819 0.925
0.356 0.681 0.925
0.644 0.181 0.575
0.856 0.319 0.575
0.856 0.181 0.075
0.644 0.319 0.075
0.356 0.819 0.425
0.144 0.681 0.425
0.348 0.062 0.038
0.152 0.438 0.038
0.848 0.938 0.462
0.652 0.562 0.462
0.652 0.938 0.962
0.848 0.562 0.962
0.152 0.062 0.538
0.348 0.438 0.538
0.340 0.840 0.625
0.160 0.660 0.625
0.840 0.160 0.875
0.660 0.340 0.875
0.660 0.160 0.375
0.840 0.340 0.375
0.160 0.840 0.125
0.340 0.660 0.125
0.250 0.750 0.468
0.750 0.250 0.032
0.750 0.250 0.532
0.250 0.750 0.968
0.023 0.112 0.713
0.477 0.388 0.713
0.523 0.888 0.787
0.977 0.612 0.787
0.977 0.888 0.287
0.523 0.612 0.287
0.477 0.112 0.213
0.023 0.388 0.213
0.016 0.884 0.744
0.484 0.616 0.744
0.516 0.116 0.756
0.984 0.384 0.756
0.984 0.116 0.256
0.516 0.384 0.256
0.484 0.884 0.244
0.016 0.616 0.244
0.301 0.002 0.788
0.199 0.498 0.788
0.801 0.998 0.712
0.699 0.502 0.712
0.699 0.998 0.212
0.801 0.502 0.212
0.199 0.002 0.288
0.301 0.498 0.288
```

For the total moment, the calculation gives 7.7 Bohr magnetons per cell. Its space group is Pccn (56).


Computed calculated volume (Å³/f.u.) in order:
318.8 148.5 1054.0 197.5 377.5
Computed uncorrected energy (eV/atom) in order:
-7.225 -4.383 -6.320 -8.518 -6.801
Computed ρ (g cm⁻³) in order:
3.04 4.40 2.68 9.62 2.58